# 1
An optimized crystal structure of Ho2MgTl, computed with r2SCAN.

```
Ho2MgTl
1.0
0.0000 3.7382 3.7382
3.7382 0.0000 3.7382
3.7382 3.7382 0.0000
Mg Ho Tl
1 2 1
Direct
0.5000 0.5000 0.5000
0.7500 0.7500 0.7500
0.2500 0.2500 0.2500
0.0000 0.0000 0.0000
```

Summary:
E_tot   -31.0587 eV per atom
Mass density   8.88 g/cm³
Crystal system   cubic
Space group   No. 225
E_form   -0.281 eV per atom

# 2
An optimized crystal structure of InSb2S4Br, computed with r2SCAN.

```
InSb2S4Br
1.0
1.9398 10.2684 -0.0367
-1.9398 10.2684 -0.0367
0.0000 6.0632 10.3605
S Sb Br In
8 4 2 2
Direct
0.5354 0.5354 0.7863
0.4646 0.4646 0.2137
0.2119 0.2119 0.6497
0.7881 0.7881 0.3503
0.6813 0.6813 0.1294
0.8960 0.8960 0.0226
0.1040 0.1040 0.9774
0.3187 0.3187 0.8706
0.7070 0.7070 0.9048
0.2930 0.2930 0.0952
0.9532 0.9532 0.7843
0.0468 0.0468 0.2157
0.1039 0.1039 0.4720
0.8961 0.8961 0.5280
0.6644 0.6644 0.5667
0.3356 0.3356 0.4333
```

Summary:
E_tot   -15.4418 eV per atom
Mass density   4.55 g/cm³
Crystal system   monoclinic
Space group   No. 12
E_form   -0.519 eV per atom

# 3
An optimized crystal structure of Hf2TcRh, computed with r2SCAN.

```
Hf2TcRh
1.0
0.5955 -3.7852 2.5129
0.7352 0.3354 4.5105
-3.2424 -1.3223 2.9526
Hf Rh Tc
2 1 1
Direct
0.5000 0.5001 0.4997
0.0000 0.0000 0.0003
0.2500 0.2500 0.2500
0.7500 0.7500 0.7500
```

Summary:
E_tot   -35.9565 eV per atom
Mass density   13.62 g/cm³
Crystal system   cubic
Space group   No. 225
E_form   -0.856 eV per atom

# 4
An optimized crystal structure of Al27Fe2Ni4, computed with r2SCAN.

```
Al27Fe2Ni4
1.0
6.1334 -0.0015 -0.5701
-0.0019 6.2388 -0.0044
-0.0757 -0.0180 25.5212
Al Fe Ni
54 4 8
Direct
0.2132 0.3866 0.6798
0.0916 0.7925 0.5769
0.3856 0.8054 0.3309
0.9163 0.2923 0.2561
0.3997 0.4649 0.5884
0.4080 0.4609 0.2548
0.5909 0.9727 0.9111
0.4030 0.0245 0.7564
0.3910 0.6957 0.8318
0.4013 0.0256 0.4227
0.0937 0.7115 0.0765
0.3951 0.6927 0.1666
0.6145 0.3055 0.1691
0.7895 0.8898 0.8196
0.2134 0.1147 0.1826
0.6134 0.3019 0.8350
0.0902 0.7917 0.9107
0.5956 0.5303 0.7441
0.2086 0.1146 0.8490
0.2102 0.1155 0.5157
0.6144 0.3027 0.5013
0.9951 0.0076 0.3320
0.9084 0.2100 0.0912
0.5920 0.9622 0.2453
0.9153 0.2857 0.5894
0.7882 0.6100 0.6523
0.0011 0.0028 0.0001
0.5916 0.9731 0.5777
0.0909 0.7083 0.7427
0.7872 0.6101 0.9859
0.6043 0.1965 0.6675
0.0026 0.5075 0.1676
0.7837 0.8884 0.1540
0.0892 0.7073 0.4085
0.6048 0.1954 0.0007
0.0837 0.7929 0.2438
0.5962 0.5302 0.0781
0.7866 0.6147 0.3175
0.6038 0.1925 0.3339
0.9150 0.2852 0.9230
0.0030 0.5051 0.8338
0.5960 0.5307 0.4100
0.3897 0.8060 0.6642
0.7898 0.8904 0.4860
0.3923 0.6958 0.4983
0.3981 0.4649 0.9219
0.3888 0.8063 0.9978
0.4053 0.0299 0.0898
0.9097 0.2136 0.7570
0.0030 0.5055 0.4999
0.2128 0.3862 0.0132
0.2168 0.3878 0.3463
0.9992 0.0029 0.6661
0.9106 0.2139 0.4235
0.2634 0.1182 0.9445
0.7364 0.6180 0.2221
0.2636 0.1177 0.2784
0.2642 0.1187 0.6114
0.2671 0.3773 0.7778
0.7355 0.6207 0.5557
0.7366 0.8806 0.3893
0.7371 0.8794 0.0558
0.7374 0.8804 0.7224
0.2630 0.3794 0.1107
0.7335 0.6202 0.8891
0.2685 0.3779 0.4446
```

Summary:
E_tot   -8.0952 eV per atom
Mass density   3.66 g/cm³
Crystal system   triclinic
Space group   No. 1
E_form   -0.261 eV per atom

# 5
An optimized crystal structure of Fe6W6C, computed with r2SCAN.

```
Fe6W6C
1.0
2.9162 -5.8996 4.1789
-2.2374 -1.0161 7.3982
-4.5388 -6.0452 1.9043
W Fe C
12 12 2
Direct
0.6951 0.3049 0.3049
0.3049 0.3049 0.6951
0.5549 0.9451 0.9451
0.5549 0.5549 0.9451
0.9451 0.5549 0.9451
0.6951 0.3049 0.6951
0.3049 0.6951 0.6951
0.6951 0.6951 0.3049
0.3049 0.6951 0.3049
0.9451 0.5549 0.5549
0.9451 0.9451 0.5549
0.5549 0.9451 0.5549
0.2443 0.9186 0.9186
0.3314 0.3314 0.3314
0.3314 0.0057 0.3314
0.3314 0.3314 0.0057
0.9186 0.9186 0.2443
0.1250 0.1250 0.1250
0.1250 0.1250 0.6250
0.6250 0.1250 0.1250
0.9186 0.9186 0.9186
0.9186 0.2443 0.9186
0.0057 0.3314 0.3314
0.1250 0.6250 0.1250
0.7500 0.7500 0.7500
0.5000 0.5000 0.5000
```

Summary:
E_tot   -31.0651 eV per atom
Mass density   14.38 g/cm³
Crystal system   cubic
Space group   No. 227
E_form   0.061 eV per atom

# 6
An optimized crystal structure of CaMg2C3O9, computed with r2SCAN.

```
CaMg2C3O9
1.0
-1.8749 -1.5988 4.0201
-3.9306 -3.0392 -3.0419
5.9660 -9.5371 1.7547
C Ca O Mg
6 2 18 4
Direct
0.1058 0.4183 0.8139
0.5804 0.9183 0.8139
0.4196 0.0817 0.1861
0.2524 0.2500 0.5000
0.7476 0.7500 0.5000
0.8942 0.5817 0.1861
0.5000 0.5000 0.0000
0.0000 0.0000 0.0000
0.6571 0.8423 0.9091
0.0024 0.5071 0.7276
0.9774 0.2500 0.5000
0.2300 0.9929 0.2724
0.0226 0.7500 0.5000
0.6896 0.0938 0.1909
0.3104 0.9062 0.8091
0.3429 0.1577 0.0909
0.7700 0.0071 0.7276
0.4320 0.3462 0.4132
0.6195 0.5938 0.1909
0.9338 0.3423 0.9091
0.5680 0.6538 0.5868
0.3452 0.1538 0.5868
0.3805 0.4062 0.8091
0.6548 0.8462 0.4132
0.0662 0.6577 0.0909
0.9976 0.4929 0.2724
0.8328 0.1691 0.3445
0.3228 0.6691 0.3445
0.6772 0.3309 0.6555
0.1672 0.8309 0.6555
```

Summary:
Energy relative to the lowest polymorph listed for this composition   15 meV/atom
E_tot   -8.8561 eV per atom
Mass density   2.92 g/cm³
Crystal system   monoclinic
Space group   No. 15
E_form   -2.258 eV per atom

# 7
An optimized crystal structure of ThAl2, computed with r2SCAN.

```
ThAl2
1.0
4.3974 0.0000 0.0000
-2.1987 3.8083 0.0000
0.0000 0.0000 4.1971
Al Th
2 1
Direct
0.3333 0.6667 0.5000
0.6667 0.3333 0.5000
0.0000 0.0000 0.0000
```

Summary:
E_tot   -29.4891 eV per atom
Mass density   6.76 g/cm³
Crystal system   hexagonal
Space group   No. 191
E_form   -0.509 eV per atom

# 8
An optimized crystal structure of Pa, computed with r2SCAN.

```
Pa
1.0
-1.8025 -0.6379 -2.5290
1.0914 -2.3660 1.8062
-4.6620 0.3238 3.2411
Pa
2
Direct
0.6667 0.3333 0.7500
0.3333 0.6667 0.2500
```

Summary:
Energy relative to the lowest polymorph listed for this composition   9 meV/atom
E_tot   -76.8473 eV per atom
Mass density   15.50 g/cm³
Crystal system   hexagonal
Space group   No. 194
E_form   0.009 eV per atom

The lowest E_tot belongs to which entry? Pa

What did the third record say?
An optimized crystal structure of Hf2TcRh, computed with r2SCAN.

```
Hf2TcRh
1.0
0.5955 -3.7852 2.5129
0.7352 0.3354 4.5105
-3.2424 -1.3223 2.9526
Hf Rh Tc
2 1 1
Direct
0.5000 0.5001 0.4997
0.0000 0.0000 0.0003
0.2500 0.2500 0.2500
0.7500 0.7500 0.7500
```

Summary:
E_tot   -35.9565 eV per atom
Mass density   13.62 g/cm³
Crystal system   cubic
Space group   No. 225
E_form   -0.856 eV per atom

The highest mass density belongs to which entry? Pa